(1)
Density functional theory data (PBE) for a relaxed Mn4GeN4 crystal.

abc: 4.719 12.013 7.085
angles: 90.00 90.00 90.00
Fractional positions:
Mn 0.957 0.314 0.608
Mn 0.543 0.686 0.608
Mn 0.957 0.186 0.892
Mn 0.543 0.814 0.892
Mn 0.043 0.686 0.392
Mn 0.457 0.314 0.392
Mn 0.043 0.814 0.108
Mn 0.457 0.186 0.108
Mn 0.750 0.500 0.253
Mn 0.750 0.000 0.247
Mn 0.250 0.500 0.747
Mn 0.250 0.000 0.753
Mn 0.486 0.250 0.750
Mn 0.014 0.750 0.750
Mn 0.514 0.750 0.250
Mn 0.986 0.250 0.250
Ge 0.750 0.500 0.891
Ge 0.750 0.000 0.609
Ge 0.250 0.500 0.109
Ge 0.250 0.000 0.391
N 0.327 0.376 0.624
N 0.173 0.624 0.624
N 0.327 0.124 0.876
N 0.173 0.876 0.876
N 0.673 0.624 0.376
N 0.827 0.376 0.376
N 0.673 0.876 0.124
N 0.827 0.124 0.124
N 0.784 0.171 0.647
N 0.716 0.829 0.647
N 0.784 0.329 0.853
N 0.716 0.671 0.853
N 0.216 0.829 0.353
N 0.284 0.171 0.353
N 0.216 0.671 0.147
N 0.284 0.329 0.147

Calculated values
total energy: -297.3 eV/cell
volume: 11.16 Å³/atom
SG: Pnna (52)
magnetic moment: 3.8 μB per formula unit

(2)
Density functional theory data (PBE) for a relaxed MnNbGe crystal.

abc: 6.582 6.582 3.646
angles: 90.00 90.00 120.00
Fractional positions:
Mn 0.000 0.749 0.000
Mn 0.251 0.251 0.000
Mn 0.749 0.000 0.000
Nb 0.000 0.417 0.500
Nb 0.583 0.583 0.500
Nb 0.417 0.000 0.500
Ge 0.333 0.667 0.000
Ge 0.667 0.333 0.000
Ge 0.000 0.000 0.500

Calculated values
total energy: -74.6 eV/cell
volume: 15.20 Å³/atom
SG: P-62m (189)

(3)
Density functional theory data (PBE) for a relaxed NdMnGe crystal.

abc: 4.058 4.058 7.563
angles: 90.00 90.00 90.00
Fractional positions:
Nd 0.500 0.000 0.674
Nd 0.000 0.500 0.326
Mn 0.500 0.500 0.000
Mn 0.000 0.000 0.000
Ge 0.000 0.500 0.801
Ge 0.500 0.000 0.199

Calculated values
total energy: -39.9 eV/cell
volume: 20.76 Å³/atom
SG: P4/nmm (129)
magnetic moment: 2.0 μB per formula unit

(4)
Density functional theory data (PBE) for a relaxed MnNiGe crystal.

abc: 4.091 4.091 5.291
angles: 90.00 90.00 120.00
Fractional positions:
Mn 0.000 0.000 0.500
Mn 0.000 0.000 0.000
Ni 0.333 0.667 0.750
Ni 0.667 0.333 0.250
Ge 0.667 0.333 0.750
Ge 0.333 0.667 0.250

Calculated values
total energy: -40.5 eV/cell
volume: 12.78 Å³/atom
SG: P6_3/mmc (194)
magnetic moment: 3.7 μB per formula unit